DFT (PBE-GGA) results for an optimized crystal structure of La20Mn8Te7C12.

The structure belongs to space group Fm-3m (No. 225); the cell edges are 16.372, 16.372 and 16.372 Å and the angles 90.00°, 90.00° and 90.00°. The asymmetric unit holds La at (0.000, 0.171, 0.171), La at (0.135, 0.135, 0.365), Mn at (0.196, 0.196, 0.196), Te at (0.000, 0.000, 0.000), Te at (0.000, 0.000, 0.286) and C at (0.106, 0.250, 0.250).

***

DFT (PBE-GGA) results for an optimized crystal structure of LaC6N9.

The structure belongs to space group Cmcm (No. 63); the cell edges are 7.961, 11.987 and 10.658 Å and the angles 90.00°, 90.00° and 90.00°. The asymmetric unit holds La at (0.000, 0.215, 0.250), C at (0.142, 0.087, 0.750), C at (0.143, 0.354, 0.553), N at (0.000, 0.033, 0.750), N at (0.000, 0.342, 0.004), N at (0.222, 0.138, 0.098) and N at (0.226, 0.369, 0.250).

***

DFT (PBE-GGA) results for an optimized crystal structure of RbLaSiC4N8.

The structure belongs to space group I-4 (No. 82); the cell edges are 8.622, 8.622 and 6.948 Å and the angles 90.00°, 90.00° and 90.00°. The asymmetric unit holds Rb at (0.000, 0.000, 0.000), La at (0.000, 0.500, 0.750), Si at (0.000, 0.500, 0.250), C at (0.191, 0.278, 0.368), N at (0.098, 0.618, 0.090) and N at (0.163, 0.737, 0.668).

For the piezoelectric modulus e_max, the calculation gives 1.98 C/m².

***

DFT (PBE-GGA) results for an optimized crystal structure of LaThCN.

The structure belongs to space group R3m (No. 160, hexagonal axes); the cell edges are 3.7847, 3.7847 and 18.4640 Å and the angles 90.00°, 90.00° and 120.00°. The asymmetric unit holds La at (0.0000, 0.0000, 0.0000), Th at (0.0000, 0.0000, 0.4990), C at (0.0000, 0.0000, 0.2414) and N at (0.0000, 0.0000, 0.7549).

***

DFT (PBE-GGA) results for an optimized crystal structure of NaLaC2O6.

The structure belongs to space group Pmc2_1 (No. 26); the cell edges are 5.216, 6.504 and 7.284 Å and the angles 90.00°, 90.00° and 90.00°. The asymmetric unit holds Na at (0.000, 0.017, 0.000), La at (0.500, 0.368, 0.300), C at (0.000, 0.466, 0.971), C at (0.500, 0.081, 0.715), O at (0.000, 0.359, 0.386), O at (0.218, 0.379, 0.008), O at (0.288, 0.014, 0.252) and O at (0.500, 0.262, 0.637).

***

DFT (PBE-GGA) results for an optimized crystal structure of Na2LaPCO7.

The structure belongs to space group P2_1/m (No. 11); the cell edges are 5.293, 7.186 and 9.467 Å and the angles 90.00°, 91.09° and 90.00°. The asymmetric unit holds Na at (0.227, 0.005, 0.203), La at (0.236, 0.250, 0.615), P at (0.288, 0.750, 0.591), C at (0.270, 0.250, 0.923), O at (0.049, 0.250, 0.857), O at (0.156, 0.574, 0.649), O at (0.261, 0.750, 0.424), O at (0.294, 0.250, 0.056), O at (0.423, 0.250, 0.377) and O at (0.469, 0.250, 0.839).

***

These records have ΔH_f (0 K) values of -704; -214; -716; -854; -2564; -2758 meV per atom, in the order they appear.
These records have total energy values of -337.9; -135.5; -122.8; -33.0; -75.9; -85.1 eV per formula unit, in the order they appear.